Record 1
# Cs2Li3Br5 | the Materials Project database | PBE | relaxed
# **Energy of formation from the pure elements**: -1.912 eV/atom
data_Cs2Li3Br5
_cell_length_a 15.856
_cell_length_b 4.423
_cell_length_c 10.252
_cell_angle_alpha 90.00
_cell_angle_beta 114.99
_cell_angle_gamma 90.00
_space_group_name_H-M_alt 'C 1 2/m 1'
_space_group_IT_number 12
_space_group_name_Hall '-C 2y'
loop_
_atom_site_label
_atom_site_type_symbol
_atom_site_fract_x
_atom_site_fract_y
_atom_site_fract_z
_atom_site_occupancy
Cs1 Cs 0.187 0.000 0.230 1
Li1 Li 0.000 0.000 0.500 1
Li2 Li 0.049 0.500 0.792 1
Br1 Br 0.000 0.500 0.000 1
Br2 Br 0.096 0.500 0.438 1
Br3 Br 0.132 0.000 0.793 1

***

Record 2
# AgBiTe2 | the Materials Project database | PBE | relaxed
# **Energy of formation from the pure elements**: -0.272 eV/atom
data_AgBiTe2
_cell_length_a 4.388
_cell_length_b 4.388
_cell_length_c 6.298
_cell_angle_alpha 90.00
_cell_angle_beta 90.00
_cell_angle_gamma 90.00
_space_group_name_H-M_alt 'P 4/m m m'
_space_group_IT_number 123
_space_group_name_Hall '-P 4 2'
loop_
_atom_site_label
_atom_site_type_symbol
_atom_site_fract_x
_atom_site_fract_y
_atom_site_fract_z
_atom_site_occupancy
Ag1 Ag 0.000 0.000 0.000 1
Bi1 Bi 0.500 0.500 0.500 1
Te1 Te 0.000 0.000 0.500 1
Te2 Te 0.500 0.500 0.000 1

***

Record 3
# Mn2FeCoP2 | the Materials Project database | PBE | relaxed
# **Energy of formation from the pure elements**: -0.597 eV/atom
data_Mn2FeCoP2
_cell_length_a 3.504
_cell_length_b 6.666
_cell_length_c 5.803
_cell_angle_alpha 90.00
_cell_angle_beta 90.00
_cell_angle_gamma 90.00
_space_group_name_H-M_alt 'P m c 21'
_space_group_IT_number 26
_space_group_name_Hall 'P 2c -2'
loop_
_atom_site_label
_atom_site_type_symbol
_atom_site_fract_x
_atom_site_fract_y
_atom_site_fract_z
_atom_site_occupancy
Mn1 Mn 0.000 0.079 0.000 1
Mn2 Mn 0.500 0.420 0.943 1
Fe1 Fe 0.500 0.188 0.327 1
Co1 Co 0.000 0.316 0.620 1
P1 P 0.000 0.373 0.239 1
P2 P 0.500 0.123 0.704 1

***

Record 4
# Rb3Ti | the Materials Project database | PBE | relaxed
# **Energy of formation from the pure elements**: 0.893 eV/atom
# **Excess energy over the best structure of this formula in the dataset**: 0 meV/atom
data_Rb3Ti
_cell_length_a 8.8180
_cell_length_b 8.8180
_cell_length_c 7.1399
_cell_angle_alpha 90.00
_cell_angle_beta 90.00
_cell_angle_gamma 120.00
_space_group_name_H-M_alt 'P 63/m m c'
_space_group_IT_number 194
_space_group_name_Hall '-P 6c 2c'
loop_
_atom_site_label
_atom_site_type_symbol
_atom_site_fract_x
_atom_site_fract_y
_atom_site_fract_z
_atom_site_occupancy
Rb1 Rb 0.1761 0.3522 0.2500 1
Ti1 Ti 0.3333 0.6667 0.7500 1

***

Record 5
# Er2Sc3Si4 | the Materials Project database | PBE | relaxed
# **Energy of formation from the pure elements**: -0.796 eV/atom
data_Er2Sc3Si4
_cell_length_a 7.072
_cell_length_b 13.961
_cell_length_c 7.359
_cell_angle_alpha 90.00
_cell_angle_beta 90.00
_cell_angle_gamma 90.00
_space_group_name_H-M_alt 'P n m a'
_space_group_IT_number 62
_space_group_name_Hall '-P 2ac 2n'
loop_
_atom_site_label
_atom_site_type_symbol
_atom_site_fract_x
_atom_site_fract_y
_atom_site_fract_z
_atom_site_occupancy
Er1 Er 0.012 0.097 0.175 1
Sc1 Sc 0.161 0.750 0.503 1
Sc2 Sc 0.170 0.125 0.677 1
Si1 Si 0.033 0.750 0.118 1
Si2 Si 0.158 0.539 0.465 1
Si3 Si 0.214 0.250 0.373 1

***

Record 6
# GdYScSbO7 | the Materials Project database | PBE | relaxed
# **Energy of formation from the pure elements**: -3.378 eV/atom
data_GdYScSbO7
_cell_length_a 7.386
_cell_length_b 7.464
_cell_length_c 10.441
_cell_angle_alpha 90.00
_cell_angle_beta 90.00
_cell_angle_gamma 90.00
_space_group_name_H-M_alt 'I m m a'
_space_group_IT_number 74
_space_group_name_Hall '-I 2b 2'
loop_
_atom_site_label
_atom_site_type_symbol
_atom_site_fract_x
_atom_site_fract_y
_atom_site_fract_z
_atom_site_occupancy
Gd1 Gd 0.000 0.000 0.000 1
Y1 Y 0.250 0.250 0.250 1
Sc1 Sc 0.250 0.250 0.750 1
Sb1 Sb 0.000 0.000 0.500 1
O1 O 0.000 0.250 0.132 1
O2 O 0.000 0.250 0.426 1
O3 O 0.000 0.250 0.848 1
O4 O 0.200 0.030 0.626 1

***

Record 7
# LuC2 | the Materials Project database | PBE | relaxed
# **Energy of formation from the pure elements**: -0.189 eV/atom
# **Excess energy over the best structure of this formula in the dataset**: 0 meV/atom
data_LuC2
_cell_length_a 3.566
_cell_length_b 3.566
_cell_length_c 6.058
_cell_angle_alpha 90.00
_cell_angle_beta 90.00
_cell_angle_gamma 90.00
_space_group_name_H-M_alt 'I 4/m m m'
_space_group_IT_number 139
_space_group_name_Hall '-I 4 2'
loop_
_atom_site_label
_atom_site_type_symbol
_atom_site_fract_x
_atom_site_fract_y
_atom_site_fract_z
_atom_site_occupancy
Lu1 Lu 0.000 0.000 0.000 1
C1 C 0.000 0.000 0.392 1

***

Record 8
# KPt | the Materials Project database | PBE | relaxed
# **Energy of formation from the pure elements**: 0.274 eV/atom
data_KPt
_cell_length_a 3.0008
_cell_length_b 3.0008
_cell_length_c 5.3456
_cell_angle_alpha 90.00
_cell_angle_beta 90.00
_cell_angle_gamma 120.00
_space_group_name_H-M_alt 'P -6 m 2'
_space_group_IT_number 187
_space_group_name_Hall 'P -6 2'
loop_
_atom_site_label
_atom_site_type_symbol
_atom_site_fract_x
_atom_site_fract_y
_atom_site_fract_z
_atom_site_occupancy
K1 K 0.0000 0.0000 0.0000 1
Pt1 Pt 0.6667 0.3333 0.5000 1

***

Record 9
# CeSe2 | the Materials Project database | PBE | relaxed
# **Energy of formation from the pure elements**: -1.394 eV/atom
data_CeSe2
_cell_length_a 17.544
_cell_length_b 25.689
_cell_length_c 15.066
_cell_angle_alpha 90.00
_cell_angle_beta 105.51
_cell_angle_gamma 90.00
_space_group_name_H-M_alt 'C 1 2/m 1'
_space_group_IT_number 12
_space_group_name_Hall '-C 2y'
loop_
_atom_site_label
_atom_site_type_symbol
_atom_site_fract_x
_atom_site_fract_y
_atom_site_fract_z
_atom_site_occupancy
Ce1 Ce 0.099 0.101 0.309 1
Ce2 Ce 0.148 0.256 0.107 1
Ce3 Ce 0.194 0.100 0.668 1
Se1 Se 0.000 0.278 0.000 1
Se2 Se 0.058 0.119 0.718 1
Se3 Se 0.120 0.000 0.268 1
Se4 Se 0.157 0.164 0.197 1
Se5 Se 0.179 0.123 0.487 1
Se6 Se 0.193 0.338 0.224 1
Se7 Se 0.238 0.000 0.712 1
Se8 Se 0.250 0.250 0.000 1

***

Record 10
# PdAu | the Materials Project database | PBE | relaxed
# **Energy of formation from the pure elements**: -0.062 eV/atom
data_PdAu
_cell_length_a 2.8901
_cell_length_b 2.8901
_cell_length_c 13.9411
_cell_angle_alpha 90.00
_cell_angle_beta 90.00
_cell_angle_gamma 120.00
_space_group_name_H-M_alt 'R -3 m'
_space_group_IT_number 166
_space_group_name_Hall '-R 3 2"'
loop_
_atom_site_label
_atom_site_type_symbol
_atom_site_fract_x
_atom_site_fract_y
_atom_site_fract_z
_atom_site_occupancy
Pd1 Pd 0.0000 0.0000 0.0000 1
Au1 Au 0.0000 0.0000 0.5000 1

***

Record 11
# EuSnO3 | the Materials Project database | PBE | relaxed
# **Energy of formation from the pure elements**: -2.549 eV/atom
data_EuSnO3
_cell_length_a 4.125
_cell_length_b 4.125
_cell_length_c 4.125
_cell_angle_alpha 90.00
_cell_angle_beta 90.00
_cell_angle_gamma 90.00
_space_group_name_H-M_alt 'P m -3 m'
_space_group_IT_number 221
_space_group_name_Hall '-P 4 2 3'
loop_
_atom_site_label
_atom_site_type_symbol
_atom_site_fract_x
_atom_site_fract_y
_atom_site_fract_z
_atom_site_occupancy
Eu1 Eu 0.000 0.000 0.000 1
Sn1 Sn 0.500 0.500 0.500 1
O1 O 0.000 0.500 0.500 1

***

Record 12
# CaCdPt | the Materials Project database | PBE | relaxed
# **Energy of formation from the pure elements**: -0.720 eV/atom
data_CaCdPt
_cell_length_a 7.315
_cell_length_b 4.325
_cell_length_c 8.631
_cell_angle_alpha 90.00
_cell_angle_beta 90.00
_cell_angle_gamma 90.00
_space_group_name_H-M_alt 'P n m a'
_space_group_IT_number 62
_space_group_name_Hall '-P 2ac 2n'
loop_
_atom_site_label
_atom_site_type_symbol
_atom_site_fract_x
_atom_site_fract_y
_atom_site_fract_z
_atom_site_occupancy
Ca1 Ca 0.035 0.250 0.177 1
Cd1 Cd 0.142 0.250 0.563 1
Pt1 Pt 0.242 0.750 0.371 1